[1]
NaAlCl4 | r2SCAN | relaxed

a = 6.1575 Å, b = 9.8005 Å, c = 10.2741 Å
α = 90.00°, β = 90.00°, γ = 90.00°
Atoms (fractional coordinates):
1 Na 0.3170 0.7834 0.8785
2 Na 0.8170 0.2166 0.6215
3 Na 0.1830 0.2834 0.1215
4 Na 0.6830 0.7166 0.3785
5 Al 0.7942 0.5134 0.9622
6 Al 0.2942 0.4866 0.5378
7 Al 0.7058 0.0134 0.0378
8 Al 0.2058 0.9866 0.4622
9 Cl 0.4456 0.5080 0.9652
10 Cl 0.9456 0.4920 0.5348
11 Cl 0.0544 0.0080 0.0348
12 Cl 0.5544 0.9920 0.4652
13 Cl 0.8943 0.6877 0.8517
14 Cl 0.3943 0.3123 0.6483
15 Cl 0.6057 0.1877 0.1483
16 Cl 0.1057 0.8123 0.3517
17 Cl 0.0729 0.9795 0.6552
18 Cl 0.5729 0.0205 0.8448
19 Cl 0.4271 0.4795 0.3448
20 Cl 0.9271 0.5205 0.1552
21 Cl 0.4282 0.6687 0.6242
22 Cl 0.9282 0.3313 0.8758
23 Cl 0.0718 0.1687 0.3758
24 Cl 0.5718 0.8313 0.1242

Calculated values
* final energy: -7.6716 eV/atom
* spin magnetization: 0.0000 μB/atom
* calculated volume: 25.83 Å³ per atom
* energy relative to the elements: -1.854 eV/atom

[2]
Na4Al3Si3ClO12 | r2SCAN | relaxed

a = 8.8666 Å, b = 8.8666 Å, c = 8.8666 Å
α = 90.00°, β = 90.00°, γ = 90.00°
Atoms (fractional coordinates):
1 Na 0.3220 0.3220 0.6780
2 Na 0.6780 0.3220 0.3220
3 Na 0.6780 0.6780 0.6780
4 Na 0.1780 0.1780 0.1780
5 Na 0.1780 0.8220 0.8220
6 Na 0.8220 0.8220 0.1780
7 Na 0.3220 0.6780 0.3220
8 Na 0.8220 0.1780 0.8220
9 Al 0.5000 0.7500 0.0000
10 Al 0.2500 0.0000 0.5000
11 Al 0.0000 0.5000 0.2500
12 Al 0.5000 0.2500 0.0000
13 Al 0.0000 0.5000 0.7500
14 Al 0.7500 0.0000 0.5000
15 Si 0.5000 0.0000 0.2500
16 Si 0.0000 0.2500 0.5000
17 Si 0.2500 0.5000 0.0000
18 Si 0.0000 0.7500 0.5000
19 Si 0.5000 0.0000 0.7500
20 Si 0.7500 0.5000 0.0000
21 Cl 0.5000 0.5000 0.5000
22 Cl 0.0000 0.0000 0.0000
23 O 0.3612 0.0640 0.6490
24 O 0.8612 0.8510 0.4360
25 O 0.6490 0.3612 0.0640
26 O 0.4360 0.1388 0.1490
27 O 0.1388 0.8510 0.5640
28 O 0.0640 0.3510 0.6388
29 O 0.6388 0.9360 0.6490
30 O 0.1388 0.1490 0.4360
31 O 0.5640 0.8612 0.1490
32 O 0.6490 0.6388 0.9360
33 O 0.3612 0.9360 0.3510
34 O 0.1490 0.5640 0.8612
35 O 0.3510 0.6388 0.0640
36 O 0.1490 0.4360 0.1388
37 O 0.0640 0.6490 0.3612
38 O 0.5640 0.1388 0.8510
39 O 0.9360 0.6490 0.6388
40 O 0.8612 0.1490 0.5640
41 O 0.8510 0.4360 0.8612
42 O 0.9360 0.3510 0.3612
43 O 0.8510 0.5640 0.1388
44 O 0.3510 0.3612 0.9360
45 O 0.6388 0.0640 0.3510
46 O 0.4360 0.8612 0.8510

Calculated values
* final energy: -8.9658 eV/atom
* spin magnetization: 0.0000 μB/atom
* calculated volume: 15.15 Å³ per atom
* energy relative to the elements: -2.940 eV/atom

[3]
Al2NiCl8 | r2SCAN | relaxed

a = 9.3773 Å, b = 9.3773 Å, c = 11.4930 Å
α = 54.06°, β = 54.06°, γ = 49.46°
Atoms (fractional coordinates):
1 Al 0.3275 0.8398 0.9686
2 Al 0.8398 0.3275 0.4686
3 Al 0.1602 0.6725 0.5314
4 Al 0.6725 0.1602 0.0314
5 Ni 0.0038 0.9962 0.2500
6 Ni 0.9962 0.0038 0.7500
7 Cl 0.3146 0.3721 0.5549
8 Cl 0.6934 0.1419 0.2184
9 Cl 0.1505 0.7100 0.1890
10 Cl 0.1321 0.1689 0.4850
11 Cl 0.8495 0.2900 0.8110
12 Cl 0.8311 0.8679 0.0150
13 Cl 0.8679 0.8311 0.5150
14 Cl 0.7100 0.1505 0.6890
15 Cl 0.1689 0.1321 0.9850
16 Cl 0.6279 0.6854 0.9451
17 Cl 0.1419 0.6934 0.7184
18 Cl 0.8581 0.3066 0.2816
19 Cl 0.3721 0.3146 0.0549
20 Cl 0.2900 0.8495 0.3110
21 Cl 0.6854 0.6279 0.4451
22 Cl 0.3066 0.8581 0.7816

Calculated values
* final energy: -8.2729 eV/atom
* spin magnetization: 0.1818 μB/atom
* calculated volume: 26.64 Å³ per atom
* energy relative to the elements: -1.485 eV/atom

[4]
Al2PdCl8 | r2SCAN | relaxed

a = 7.3165 Å, b = 6.6351 Å, c = 13.4301 Å
α = 82.86°, β = 90.00°, γ = 90.00°
Atoms (fractional coordinates):
1 Al 0.2786 0.6589 0.1021
2 Al 0.2214 0.6589 0.6021
3 Al 0.7214 0.3411 0.8979
4 Al 0.7786 0.3411 0.3979
5 Pd 0.5000 0.0000 0.5000
6 Pd 0.0000 0.0000 0.0000
7 Cl 0.2161 0.3542 0.5747
8 Cl 0.7161 0.6458 0.9253
9 Cl 0.2764 0.8616 0.9576
10 Cl 0.7764 0.1384 0.5424
11 Cl 0.7236 0.1384 0.0424
12 Cl 0.2236 0.8616 0.4576
13 Cl 0.0039 0.7637 0.1438
14 Cl 0.5039 0.2363 0.3562
15 Cl 0.9961 0.2363 0.8562
16 Cl 0.4961 0.7637 0.6438
17 Cl 0.4747 0.7401 0.2031
18 Cl 0.9747 0.2599 0.2969
19 Cl 0.5253 0.2599 0.7969
20 Cl 0.0253 0.7401 0.7031
21 Cl 0.2839 0.3542 0.0747
22 Cl 0.7839 0.6458 0.4253

Calculated values
* final energy: -9.1576 eV/atom
* spin magnetization: 0.0000 μB/atom
* calculated volume: 29.40 Å³ per atom
* energy relative to the elements: -1.372 eV/atom

[5]
RbAlCl4 | r2SCAN | relaxed

a = 7.0391 Å, b = 9.2777 Å, c = 11.2379 Å
α = 90.00°, β = 90.00°, γ = 90.00°
Atoms (fractional coordinates):
1 Rb 0.2500 0.6611 0.1812
2 Rb 0.7500 0.3389 0.8188
3 Rb 0.7500 0.1611 0.3188
4 Rb 0.2500 0.8389 0.6812
5 Al 0.2500 0.1917 0.0633
6 Al 0.7500 0.8083 0.9367
7 Al 0.7500 0.6917 0.4367
8 Al 0.2500 0.3083 0.5633
9 Cl 0.2500 0.4030 0.3902
10 Cl 0.7500 0.5970 0.6098
11 Cl 0.7500 0.9030 0.1098
12 Cl 0.2500 0.0970 0.8902
13 Cl 0.2500 0.0353 0.2028
14 Cl 0.7500 0.9647 0.7972
15 Cl 0.7500 0.5353 0.2972
16 Cl 0.2500 0.4647 0.7028
17 Cl 0.0027 0.3254 0.0824
18 Cl 0.9973 0.6746 0.9176
19 Cl 0.9973 0.8254 0.4176
20 Cl 0.5027 0.6746 0.9176
21 Cl 0.0027 0.1746 0.5824
22 Cl 0.4973 0.3254 0.0824
23 Cl 0.4973 0.1746 0.5824
24 Cl 0.5027 0.8254 0.4176

Calculated values
* final energy: -9.5169 eV/atom
* spin magnetization: 0.0000 μB/atom
* calculated volume: 30.58 Å³ per atom
* energy relative to the elements: -1.971 eV/atom

[6]
AlSeCl7 | r2SCAN | relaxed

a = 6.3948 Å, b = 8.3033 Å, c = 9.9884 Å
α = 86.16°, β = 76.71°, γ = 83.58°
Atoms (fractional coordinates):
1 Al 0.4611 0.3967 0.9505
2 Al 0.2100 0.9549 0.5201
3 Se 0.9959 0.0079 0.9951
4 Se 0.7831 0.5620 0.5270
5 Cl 0.8734 0.7891 0.9539
6 Cl 0.6692 0.1900 0.8622
7 Cl 0.1300 0.3393 0.9982
8 Cl 0.2716 0.8976 0.0688
9 Cl 0.7784 0.0543 0.1899
10 Cl 0.2860 0.0131 0.7093
11 Cl 0.6401 0.3446 0.5071
12 Cl 0.0285 0.4644 0.6337
13 Cl 0.4139 0.7472 0.4292
14 Cl 0.8789 0.8989 0.5630
15 Cl 0.9779 0.5743 0.3210
16 Cl 0.4780 0.5938 0.7960
17 Cl 0.5421 0.4773 0.1262
18 Cl 0.2591 0.1551 0.3770

Calculated values
* final energy: -8.0868 eV/atom
* spin magnetization: 0.0000 μB/atom
* calculated volume: 28.47 Å³ per atom
* energy relative to the elements: -0.963 eV/atom

[7]
SrAl2Cl8 | r2SCAN | relaxed

a = 7.0215 Å, b = 7.2975 Å, c = 12.6883 Å
α = 85.55°, β = 90.00°, γ = 90.00°
Atoms (fractional coordinates):
1 Sr 0.1585 0.5000 0.2500
2 Sr 0.8415 0.5000 0.7500
3 Al 0.2624 0.6824 0.5782
4 Al 0.7376 0.6824 0.0782
5 Al 0.7376 0.3176 0.4218
6 Al 0.2624 0.3176 0.9218
7 Cl 0.5244 0.7450 0.6547
8 Cl 0.3049 0.7456 0.4119
9 Cl 0.8175 0.4003 0.1123
10 Cl 0.1825 0.5997 0.8877
11 Cl 0.4756 0.2550 0.3453
12 Cl 0.3049 0.2544 0.0881
13 Cl 0.6951 0.2544 0.5881
14 Cl 0.4756 0.7450 0.1547
15 Cl 0.1825 0.4003 0.6123
16 Cl 0.5244 0.2550 0.8453
17 Cl 0.8175 0.5997 0.3877
18 Cl 0.9700 0.8371 0.1364
19 Cl 0.6951 0.7456 0.9119
20 Cl 0.0300 0.1629 0.8636
21 Cl 0.9700 0.1629 0.3636
22 Cl 0.0300 0.8371 0.6364

Calculated values
* final energy: -9.0929 eV/atom
* spin magnetization: 0.0000 μB/atom
* calculated volume: 29.46 Å³ per atom
* energy relative to the elements: -2.017 eV/atom

[8]
Al2VCl8 | r2SCAN | relaxed

a = 9.4050 Å, b = 9.4050 Å, c = 11.6703 Å
α = 53.99°, β = 53.98°, γ = 50.30°
Atoms (fractional coordinates):
1 Al 0.3314 0.8390 0.4674
2 Al 0.1610 0.6686 0.0326
3 Al 0.6686 0.1610 0.5326
4 Al 0.8390 0.3314 0.9674
5 V 0.0018 0.9982 0.7500
6 V 0.9982 0.0018 0.2500
7 Cl 0.6261 0.6869 0.4487
8 Cl 0.3739 0.3131 0.5513
9 Cl 0.8694 0.8198 0.0230
10 Cl 0.2917 0.8475 0.8152
11 Cl 0.1306 0.1802 0.9770
12 Cl 0.1525 0.7083 0.6848
13 Cl 0.6869 0.6261 0.9487
14 Cl 0.7083 0.1525 0.1848
15 Cl 0.1441 0.6858 0.2179
16 Cl 0.8198 0.8694 0.5230
17 Cl 0.8559 0.3142 0.7821
18 Cl 0.8475 0.2917 0.3152
19 Cl 0.1802 0.1306 0.4770
20 Cl 0.3142 0.8558 0.2821
21 Cl 0.3131 0.3739 0.0513
22 Cl 0.6858 0.1441 0.7179

Calculated values
* final energy: -8.6496 eV/atom
* spin magnetization: 0.2727 μB/atom
* calculated volume: 27.45 Å³ per atom
* energy relative to the elements: -1.670 eV/atom

[9]
YAl3Cl12 | r2SCAN | relaxed

a = 10.6213 Å, b = 10.6197 Å, c = 15.7359 Å
α = 90.05°, β = 89.97°, γ = 120.00°
Atoms (fractional coordinates):
1 Y 0.5043 0.4955 0.3334
2 Y 0.9913 0.4957 0.0000
3 Y 0.5043 0.0088 0.6666
4 Al 0.6361 0.7616 0.7307
5 Al 0.7308 0.2693 0.8333
6 Al 0.6361 0.8745 0.2693
7 Al 0.2384 0.3639 0.9355
8 Al 0.2384 0.8745 0.0645
9 Al 0.1255 0.3641 0.3978
10 Al 0.5383 0.2691 0.5000
11 Al 0.1255 0.7614 0.6022
12 Al 0.7308 0.4616 0.1667
13 Cl 0.6568 0.8782 0.6108
14 Cl 0.4072 0.1997 0.6130
15 Cl 0.8372 0.8400 0.7903
16 Cl 0.8349 0.3351 0.1500
17 Cl 0.5052 0.8412 0.7974
18 Cl 0.0026 0.8397 0.5428
19 Cl 0.1602 0.9975 0.1239
20 Cl 0.6650 0.1654 0.5167
21 Cl 0.0281 0.5371 0.6228
22 Cl 0.5091 0.5372 0.7102
23 Cl 0.1590 0.4949 0.8690
24 Cl 0.8372 0.9971 0.2097
25 Cl 0.5004 0.1655 0.8166
26 Cl 0.6568 0.7787 0.3892
27 Cl 0.6650 0.4996 0.4833
28 Cl 0.0026 0.1629 0.4572
29 Cl 0.7923 0.1998 0.7202
30 Cl 0.8349 0.4998 0.8500
31 Cl 0.3360 0.8411 0.5356
32 Cl 0.2213 0.8778 0.7224
33 Cl 0.4627 0.9719 0.0437
34 Cl 0.1219 0.3433 0.0556
35 Cl 0.8002 0.5925 0.0537
36 Cl 0.2213 0.3435 0.2776
37 Cl 0.1602 0.1627 0.8761
38 Cl 0.5004 0.3348 0.1834
39 Cl 0.1590 0.6641 0.1310
40 Cl 0.1219 0.7786 0.9444
41 Cl 0.8002 0.2077 0.9463
42 Cl 0.7924 0.5925 0.2798
43 Cl 0.4627 0.4908 0.9563
44 Cl 0.5091 0.9719 0.2898
45 Cl 0.4072 0.2075 0.3870
46 Cl 0.3360 0.4948 0.4644
47 Cl 0.0281 0.4909 0.3772
48 Cl 0.5052 0.6640 0.2026

Calculated values
* final energy: -9.0438 eV/atom
* spin magnetization: 0.0000 μB/atom
* calculated volume: 32.03 Å³ per atom
* energy relative to the elements: -1.898 eV/atom

[10]
Al9Co2 | r2SCAN | relaxed

a = 6.1413 Å, b = 6.2288 Å, c = 8.4557 Å
α = 90.00°, β = 95.18°, γ = 90.00°
Atoms (fractional coordinates):
1 Al 0.0000 0.0000 0.0000
2 Al 0.0000 0.5000 0.5000
3 Al 0.5933 0.0371 0.7333
4 Al 0.4067 0.5371 0.7667
5 Al 0.4067 0.9629 0.2667
6 Al 0.5933 0.4629 0.2333
7 Al 0.9124 0.7113 0.7694
8 Al 0.0876 0.2113 0.7305
9 Al 0.0876 0.2887 0.2306
10 Al 0.9124 0.7887 0.2695
11 Al 0.6093 0.8082 0.0028
12 Al 0.3907 0.3081 0.4972
13 Al 0.3907 0.1918 0.9972
14 Al 0.6093 0.6919 0.5028
15 Al 0.7849 0.3864 0.9569
16 Al 0.2150 0.8864 0.5431
17 Al 0.2151 0.6136 0.0431
18 Al 0.7850 0.1136 0.4569
19 Co 0.7360 0.3826 0.6667
20 Co 0.2639 0.8826 0.8332
21 Co 0.2640 0.6174 0.3333
22 Co 0.7361 0.1174 0.1668

Calculated values
* final energy: -8.2113 eV/atom
* spin magnetization: 0.0000 μB/atom
* calculated volume: 14.64 Å³ per atom
* energy relative to the elements: -0.297 eV/atom

[11]
Al12Co4Cu | r2SCAN | relaxed

a = 8.5370 Å, b = 8.5370 Å, c = 12.2522 Å
α = 73.95°, β = 73.95°, γ = 55.45°
Atoms (fractional coordinates):
1 Al 0.9632 0.3954 0.1625
2 Al 0.3954 0.9632 0.1625
3 Al 0.9723 0.3991 0.3860
4 Al 0.3991 0.9723 0.3860
5 Al 0.1479 0.5942 0.3895
6 Al 0.5942 0.1479 0.3895
7 Al 0.2577 0.7257 0.1726
8 Al 0.7257 0.2577 0.1726
9 Al 0.1610 0.5773 0.0213
10 Al 0.5773 0.1610 0.0213
11 Al 0.2508 0.7492 0.5000
12 Al 0.7492 0.2508 0.5000
13 Al 0.0368 0.6046 0.8375
14 Al 0.6046 0.0368 0.8375
15 Al 0.0277 0.6009 0.6140
16 Al 0.5199 0.5199 0.3317
17 Al 0.2377 0.2377 0.5429
18 Al 0.0569 0.0569 0.3247
19 Al 0.2352 0.2352 0.9640
20 Al 0.4801 0.4801 0.6683
21 Al 0.7623 0.7623 0.4571
22 Al 0.9431 0.9431 0.6753
23 Al 0.7648 0.7648 0.0360
24 Al 0.0754 0.0754 0.9125
25 Al 0.3010 0.3010 0.7304
26 Al 0.9246 0.9246 0.0875
27 Al 0.6990 0.6990 0.2696
28 Al 0.6626 0.6626 0.7824
29 Al 0.3374 0.3374 0.2176
30 Al 0.4227 0.8390 0.9787
31 Al 0.8390 0.4227 0.9787
32 Al 0.2743 0.7423 0.8274
33 Al 0.7423 0.2743 0.8274
34 Al 0.4058 0.8521 0.6105
35 Al 0.8521 0.4058 0.6105
36 Al 0.6009 0.0277 0.6140
37 Co 0.0356 0.5995 0.2202
38 Co 0.5995 0.0356 0.2202
39 Co 0.9644 0.4005 0.7798
40 Co 0.4005 0.9644 0.7798
41 Co 0.9133 0.9133 0.8900
42 Co 0.9080 0.9080 0.4955
43 Co 0.6004 0.6004 0.4822
44 Co 0.3972 0.3972 0.8690
45 Co 0.0867 0.0867 0.1100
46 Co 0.0920 0.0920 0.5045
47 Co 0.3996 0.3996 0.5178
48 Co 0.6028 0.6028 0.1310
49 Cu 0.9121 0.9121 0.2857
50 Cu 0.0879 0.0879 0.7143
51 Cu 0.5000 0.5000 0.0000

Calculated values
* final energy: -8.8917 eV/atom
* spin magnetization: 0.0000 μB/atom
* calculated volume: 13.70 Å³ per atom
* energy relative to the elements: -0.388 eV/atom

[12]
Dy2AlCo2 | r2SCAN | relaxed

a = 4.0099 Å, b = 5.3461 Å, c = 5.3461 Å
α = 60.82°, β = 67.97°, γ = 67.97°
Atoms (fractional coordinates):
1 Dy 0.2050 0.2950 0.2950
2 Dy 0.7950 0.7050 0.7050
3 Al 0.0000 0.0000 0.0000
4 Co 0.5000 0.2803 0.7197
5 Co 0.5000 0.7197 0.2803

Calculated values
* final energy: -19.7203 eV/atom
* spin magnetization: 0.0010 μB/atom
* calculated volume: 18.02 Å³ per atom
* energy relative to the elements: -0.287 eV/atom

[13]
Al2FeCo | r2SCAN | relaxed

a = 2.8571 Å, b = 2.8571 Å, c = 5.6583 Å
α = 90.00°, β = 90.00°, γ = 90.00°
Atoms (fractional coordinates):
1 Al 0.0000 0.0000 0.7543
2 Al 0.0000 0.0000 0.2457
3 Fe 0.5000 0.5000 0.5000
4 Co 0.5000 0.5000 0.0000

Calculated values
* final energy: -10.6287 eV/atom
* spin magnetization: 0.1775 μB/atom
* calculated volume: 11.55 Å³ per atom
* energy relative to the elements: -0.351 eV/atom